No. 1
The following is a DFT calculation (PBE-GGA) of an optimized crystal structure of InRe2C10BrO10.

## Properties
E (MP2020) (eV for the cell shown): -1560.5

a = 10.7573 Å, b = 13.2567 Å, c = 26.6101 Å
α = 90.00°, β = 106.21°, γ = 90.00°
Closest atoms and distances in Å follow each position.
Fractional coordinates of all 192 atoms:
In (0.1795, 0.2199, 0.1095)  2 Br 2.78-2.79, 2 Re 2.85-2.86
In (0.1795, 0.2801, 0.6095)  2 Br 2.78-2.79, 2 Re 2.85-2.86
In (0.2588, 0.2064, 0.2684)  2 Br 2.78-2.79, 2 Re 2.87
In (0.2588, 0.2936, 0.7684)  2 Br 2.78-2.79, 2 Re 2.87
In (0.7412, 0.7064, 0.2316)  2 Br 2.78-2.79, 2 Re 2.87
In (0.7412, 0.7936, 0.7316)  2 Br 2.78-2.79, 2 Re 2.87
In (0.8205, 0.7199, 0.3905)  2 Br 2.78-2.79, 2 Re 2.85-2.86
In (0.8205, 0.7801, 0.8905)  2 Br 2.78-2.79, 2 Re 2.85-2.86
Re (0.0600, 0.2360, 0.8156)  5 C 1.95-2.01
Re (0.0600, 0.2640, 0.3156)  5 C 1.95-2.01
Re (0.0740, 0.7098, 0.9425)  5 C 1.96-2.01
Re (0.0740, 0.7902, 0.4425)  5 C 1.96-2.01
Re (0.3890, 0.1669, 0.0676)  5 C 1.96-2.01
Re (0.3890, 0.3331, 0.5676)  5 C 1.96-2.01
Re (0.4866, 0.6408, 0.1751)  5 C 1.95-2.01
Re (0.4866, 0.8592, 0.6751)  5 C 1.95-2.01
Re (0.5134, 0.1408, 0.3249)  5 C 1.95-2.01
Re (0.5134, 0.3592, 0.8249)  5 C 1.95-2.01
Re (0.6110, 0.6669, 0.4324)  5 C 1.96-2.01
Re (0.6110, 0.8331, 0.9324)  5 C 1.96-2.01
Re (0.9260, 0.2098, 0.5575)  5 C 1.96-2.01
Re (0.9260, 0.2902, 0.0575)  5 C 1.96-2.01
Re (0.9400, 0.7360, 0.6844)  5 C 1.95-2.01
Re (0.9400, 0.7640, 0.1844)  5 C 1.95-2.01
C (0.0151, 0.1500, 0.5080)  1 O 1.16
C (0.0151, 0.3500, 0.0080)  1 O 1.16
C (0.0275, 0.5883, 0.8963)  1 O 1.15
C (0.0275, 0.9117, 0.3963)  1 O 1.15
C (0.0328, 0.6577, 0.7480)  1 O 1.16
C (0.0328, 0.8423, 0.2480)  1 O 1.16
C (0.0421, 0.6429, 0.2179)  1 O 1.16
C (0.0421, 0.8571, 0.7179)  1 O 1.16
C (0.0585, 0.6991, 0.6436)  1 O 1.17
C (0.0585, 0.8009, 0.1436)  1 O 1.17
C (0.0972, 0.6610, 0.4828)  1 O 1.16
C (0.0972, 0.8390, 0.9828)  1 O 1.16
C (0.1317, 0.7191, 0.3863)  1 O 1.16
C (0.1317, 0.7809, 0.8863)  1 O 1.16
C (0.1673, 0.1819, 0.3749)  1 O 1.16
C (0.1673, 0.3181, 0.8749)  1 O 1.16
C (0.1783, 0.1179, 0.8394)  1 O 1.16
C (0.1783, 0.3821, 0.3394)  1 O 1.16
C (0.2458, 0.6600, 0.9803)  1 O 1.17
C (0.2458, 0.8400, 0.4803)  1 O 1.17
C (0.2510, 0.1408, 0.0011)  1 O 1.16
C (0.2510, 0.3592, 0.5011)  1 O 1.16
C (0.3187, 0.5963, 0.1306)  1 O 1.16
C (0.3187, 0.9037, 0.6306)  1 O 1.16
C (0.3636, 0.0290, 0.0942)  1 O 1.16
C (0.3636, 0.4710, 0.5942)  1 O 1.16
C (0.3931, 0.1886, 0.5460)  1 O 1.16
C (0.3931, 0.3114, 0.0460)  1 O 1.16
C (0.4119, 0.7385, 0.7022)  1 O 1.16
C (0.4119, 0.7615, 0.2022)  1 O 1.16
C (0.4183, 0.0244, 0.3451)  1 O 1.16
C (0.4183, 0.4756, 0.8451)  1 O 1.16
C (0.4721, 0.6247, 0.4619)  1 O 1.16
C (0.4721, 0.8753, 0.9619)  1 O 1.16
C (0.4812, 0.2249, 0.3821)  1 O 1.16
C (0.4812, 0.2751, 0.8821)  1 O 1.16
C (0.4834, 0.5670, 0.2407)  1 O 1.16
C (0.4834, 0.9330, 0.7407)  1 O 1.16
C (0.4954, 0.7051, 0.3618)  1 O 1.16
C (0.4954, 0.7949, 0.8618)  1 O 1.16
C (0.5046, 0.2051, 0.1382)  1 O 1.16
C (0.5046, 0.2949, 0.6382)  1 O 1.16
C (0.5166, 0.0670, 0.2593)  1 O 1.16
C (0.5166, 0.4330, 0.7593)  1 O 1.16
C (0.5188, 0.7249, 0.1179)  1 O 1.16
C (0.5188, 0.7751, 0.6179)  1 O 1.16
C (0.5279, 0.1247, 0.0381)  1 O 1.16
C (0.5279, 0.3753, 0.5381)  1 O 1.16
C (0.5817, 0.5244, 0.1549)  1 O 1.16
C (0.5817, 0.9756, 0.6549)  1 O 1.16
C (0.5881, 0.2385, 0.7978)  1 O 1.16
C (0.5881, 0.2615, 0.2978)  1 O 1.16
C (0.6069, 0.6886, 0.9540)  1 O 1.16
C (0.6069, 0.8114, 0.4540)  1 O 1.16
C (0.6364, 0.5290, 0.4058)  1 O 1.16
C (0.6364, 0.9710, 0.9058)  1 O 1.16
C (0.6813, 0.0963, 0.3694)  1 O 1.16
C (0.6813, 0.4037, 0.8694)  1 O 1.16
C (0.7490, 0.6408, 0.4989)  1 O 1.16
C (0.7490, 0.8592, 0.9989)  1 O 1.16
C (0.7542, 0.1600, 0.5197)  1 O 1.17
C (0.7542, 0.3400, 0.0197)  1 O 1.17
C (0.8217, 0.6179, 0.6606)  1 O 1.16
C (0.8217, 0.8821, 0.1606)  1 O 1.16
C (0.8327, 0.6819, 0.1251)  1 O 1.16
C (0.8327, 0.8181, 0.6251)  1 O 1.16
C (0.8683, 0.2191, 0.1137)  1 O 1.16
C (0.8683, 0.2809, 0.6137)  1 O 1.16
C (0.9028, 0.1610, 0.0172)  1 O 1.16
C (0.9028, 0.3390, 0.5172)  1 O 1.16
C (0.9415, 0.1991, 0.8564)  1 O 1.17
C (0.9415, 0.3009, 0.3564)  1 O 1.17
C (0.9579, 0.1429, 0.2821)  1 O 1.16
C (0.9579, 0.3571, 0.7821)  1 O 1.16
C (0.9672, 0.1577, 0.7520)  1 O 1.16
C (0.9672, 0.3423, 0.2520)  1 O 1.16
C (0.9725, 0.0883, 0.6037)  1 O 1.15
C (0.9725, 0.4117, 0.1037)  1 O 1.15
C (0.9849, 0.6500, 0.9920)  1 O 1.16
C (0.9849, 0.8500, 0.4920)  1 O 1.16
Br (0.1616, 0.0767, 0.1841)  2 In 2.79
Br (0.1616, 0.4233, 0.6841)  2 In 2.79
Br (0.2790, 0.1524, 0.6941)  2 In 2.78
Br (0.2790, 0.3476, 0.1941)  2 In 2.78
Br (0.7210, 0.6524, 0.8059)  2 In 2.78
Br (0.7210, 0.8476, 0.3059)  2 In 2.78
Br (0.8384, 0.5767, 0.3159)  2 In 2.79
Br (0.8384, 0.9233, 0.8159)  2 In 2.79
O (0.0039, 0.5189, 0.8691)  1 C 1.15
O (0.0039, 0.9811, 0.3691)  1 C 1.15
O (0.0685, 0.1165, 0.4795)  1 C 1.16
O (0.0685, 0.3835, 0.9795)  1 C 1.16
O (0.0906, 0.6133, 0.7848)  1 C 1.16
O (0.0906, 0.8867, 0.2848)  1 C 1.16
O (0.1051, 0.5756, 0.2384)  1 C 1.16
O (0.1051, 0.9244, 0.7384)  1 C 1.16
O (0.1061, 0.5860, 0.5062)  1 C 1.16
O (0.1061, 0.9140, 0.0062)  1 C 1.16
O (0.1238, 0.6784, 0.6168)  1 C 1.17
O (0.1238, 0.8216, 0.1168)  1 C 1.17
O (0.1647, 0.6774, 0.3538)  1 C 1.16
O (0.1647, 0.8226, 0.8538)  1 C 1.16
O (0.1716, 0.1271, 0.9622)  1 C 1.16
O (0.1716, 0.3729, 0.4622)  1 C 1.16
O (0.2191, 0.5720, 0.1028)  1 C 1.16
O (0.2191, 0.9280, 0.6028)  1 C 1.16
O (0.2339, 0.1375, 0.4096)  1 C 1.16
O (0.2339, 0.3625, 0.9096)  1 C 1.16
O (0.2477, 0.0495, 0.8523)  1 C 1.16
O (0.2477, 0.4505, 0.3523)  1 C 1.16
O (0.3498, 0.6332, 0.0027)  1 C 1.17
O (0.3498, 0.8668, 0.5027)  1 C 1.17
O (0.3519, 0.5513, 0.6092)  1 C 1.16
O (0.3519, 0.9487, 0.1092)  1 C 1.16
O (0.3660, 0.5433, 0.8581)  1 C 1.16
O (0.3660, 0.9567, 0.3581)  1 C 1.16
O (0.3689, 0.6706, 0.7192)  1 C 1.16
O (0.3689, 0.8294, 0.2192)  1 C 1.16
O (0.3892, 0.1036, 0.5349)  1 C 1.16
O (0.3892, 0.3964, 0.0349)  1 C 1.16
O (0.3904, 0.6003, 0.4803)  1 C 1.16
O (0.3904, 0.8997, 0.9803)  1 C 1.16
O (0.4259, 0.7295, 0.3220)  1 C 1.16
O (0.4259, 0.7705, 0.8220)  1 C 1.16
O (0.4611, 0.2258, 0.9152)  1 C 1.16
O (0.4611, 0.2742, 0.4152)  1 C 1.16
O (0.4816, 0.5263, 0.2791)  1 C 1.16
O (0.4816, 0.9737, 0.7791)  1 C 1.16
O (0.5184, 0.0263, 0.2209)  1 C 1.16
O (0.5184, 0.4737, 0.7209)  1 C 1.16
O (0.5389, 0.7258, 0.5848)  1 C 1.16
O (0.5389, 0.7742, 0.0848)  1 C 1.16
O (0.5741, 0.2295, 0.1780)  1 C 1.16
O (0.5741, 0.2705, 0.6780)  1 C 1.16
O (0.6096, 0.1003, 0.0197)  1 C 1.16
O (0.6096, 0.3997, 0.5197)  1 C 1.16
O (0.6108, 0.6036, 0.9651)  1 C 1.16
O (0.6108, 0.8964, 0.4651)  1 C 1.16
O (0.6311, 0.1706, 0.7808)  1 C 1.16
O (0.6311, 0.3294, 0.2808)  1 C 1.16
O (0.6340, 0.0433, 0.6419)  1 C 1.16
O (0.6340, 0.4567, 0.1419)  1 C 1.16
O (0.6481, 0.0513, 0.8908)  1 C 1.16
O (0.6481, 0.4487, 0.3908)  1 C 1.16
O (0.6502, 0.1332, 0.4973)  1 C 1.17
O (0.6502, 0.3668, 0.9973)  1 C 1.17
O (0.7523, 0.5495, 0.6477)  1 C 1.16
O (0.7523, 0.9505, 0.1477)  1 C 1.16
O (0.7661, 0.6375, 0.0904)  1 C 1.16
O (0.7661, 0.8625, 0.5904)  1 C 1.16
O (0.7809, 0.0720, 0.3972)  1 C 1.16
O (0.7809, 0.4280, 0.8972)  1 C 1.16
O (0.8284, 0.6271, 0.5378)  1 C 1.16
O (0.8284, 0.8729, 0.0378)  1 C 1.16
O (0.8353, 0.1774, 0.1462)  1 C 1.16
O (0.8353, 0.3226, 0.6462)  1 C 1.16
O (0.8762, 0.1784, 0.8832)  1 C 1.17
O (0.8762, 0.3216, 0.3832)  1 C 1.17
O (0.8939, 0.0860, 0.9938)  1 C 1.16
O (0.8939, 0.4140, 0.4938)  1 C 1.16
O (0.8949, 0.0756, 0.2616)  1 C 1.16
O (0.8949, 0.4244, 0.7616)  1 C 1.16
O (0.9094, 0.1133, 0.7152)  1 C 1.16
O (0.9094, 0.3867, 0.2152)  1 C 1.16
O (0.9315, 0.6165, 0.0205)  1 C 1.16
O (0.9315, 0.8835, 0.5205)  1 C 1.16
O (0.9961, 0.0189, 0.6309)  1 C 1.15
O (0.9961, 0.4811, 0.1309)  1 C 1.15

---

No. 2
The following is a DFT calculation (PBE-GGA) of an optimized crystal structure of TbGe2Ir2.

a = 4.2171 Å, b = 4.2171 Å, c = 10.2001 Å
α = 90.00°, β = 90.00°, γ = 90.00°
Closest atoms and distances in Å follow each position.
Fractional coordinates of all 10 atoms:
Tb (0.2500, 0.2500, 0.2437)  8 Ir 3.20-3.36, 8 Ge 3.24-3.26
Tb (0.7500, 0.7500, 0.7563)  8 Ir 3.20-3.36, 8 Ge 3.24-3.26
Ge (0.2500, 0.2500, 0.6320)  5 Ir 2.42-2.50
Ge (0.2500, 0.7500, 0.0000)  4 Ir 2.50
Ge (0.7500, 0.2500, 0.0000)  4 Ir 2.50
Ge (0.7500, 0.7500, 0.3680)  5 Ir 2.42-2.50
Ir (0.2500, 0.2500, 0.8692)  5 Ge 2.42-2.50
Ir (0.2500, 0.7500, 0.5000)  4 Ge 2.50
Ir (0.7500, 0.2500, 0.5000)  4 Ge 2.50
Ir (0.7500, 0.7500, 0.1308)  5 Ge 2.42-2.50

---

No. 3
The following is a DFT calculation (PBE-GGA) of an optimized crystal structure of Ti5S8.

## Properties
E (MP2020) (eV for the cell shown): -94.2
Relative energy among the computed polymorphs (meV per atom): 35

a = 12.1674 Å, b = 12.1674 Å, c = 5.9489 Å
α = 103.27°, β = 103.27°, γ = 16.16°
Closest atoms and distances in Å follow each position.
Fractional coordinates of all 13 atoms:
Ti (0.0000, 0.0000, 0.0000)  6 S 2.40-2.56
Ti (0.2477, 0.2477, 0.8972)  6 S 2.41-2.49
Ti (0.3672, 0.3672, 0.3586)  6 S 2.36-2.55
Ti (0.5001, 0.5001, 0.4813)  6 S 2.42-2.52
Ti (0.7501, 0.7501, 0.4028)  6 S 2.42-2.50
S (0.0613, 0.0613, 0.3814)  3 Ti 2.40-2.42
S (0.1899, 0.1899, 0.1822)  3 Ti 2.42-2.43
S (0.3123, 0.3123, 0.6406)  4 Ti 2.36-2.49
S (0.4361, 0.4361, 0.0981)  4 Ti 2.44-2.52
S (0.5577, 0.5577, 0.8784)  3 Ti 2.42-2.45
S (0.6879, 0.6879, 0.6787)  3 Ti 2.41-2.47
S (0.8128, 0.8128, 0.1216)  5 Ti 2.40-2.50
S (0.9347, 0.9347, 0.5945)  5 Ti 2.52-2.56

---

No. 4
The following is a DFT calculation (PBE-GGA) of an optimized crystal structure of CuTe.

## Properties
E (MP2020) (eV for the cell shown): -15.1

a = 3.8968 Å, b = 5.2823 Å, c = 4.0299 Å
α = 90.00°, β = 90.00°, γ = 90.00°
Closest atoms and distances in Å follow each position.
Fractional coordinates of all 4 atoms:
Cu (0.2500, 0.2500, 0.2232)  6 Te 2.65-2.82
Cu (0.7500, 0.7500, 0.7768)  6 Te 2.65-2.82
Te (0.2500, 0.7500, 0.2711)  6 Cu 2.65-2.82
Te (0.7500, 0.2500, 0.7289)  6 Cu 2.65-2.82

---

No. 5
The following is a DFT calculation (PBE-GGA) of an optimized crystal structure of ReW2C.

a = 2.9767 Å, b = 2.9767 Å, c = 13.9733 Å
α = 90.00°, β = 90.00°, γ = 120.00°
Closest atoms and distances in Å follow each position.
Fractional coordinates of all 8 atoms:
Re (0.0000, 0.0000, 0.0000)  3 C 2.10
Re (0.0000, 0.0000, 0.3196)  6 W 2.78-2.80, 6 Re 2.98
W (0.0000, 0.0000, 0.6547)  3 C 2.11
W (0.6667, 0.3333, 0.1631)  6 Re 2.78-2.85, 6 W 2.98
W (0.6667, 0.3333, 0.4779)  3 C 2.12
W (0.6667, 0.3333, 0.8222)  3 C 2.14
C (0.3333, 0.6667, 0.5672)  6 W 2.11-2.12
C (0.3333, 0.6667, 0.9132)  3 Re 2.10, 3 W 2.14

---

No. 6
The following is a DFT calculation (PBE-GGA) of an optimized crystal structure of GaBiSe.

## Properties
E (MP2020) (eV for the cell shown): -41.5
Relative energy among the computed polymorphs (meV per atom): 22

a = 8.8139 Å, b = 8.8139 Å, c = 8.8139 Å
α = 104.88°, β = 104.88°, γ = 119.10°
Closest atoms and distances in Å follow each position.
Fractional coordinates of all 12 atoms:
Ga (0.0000, 0.0000, 0.5000)  2 Se 2.81, 2 Bi 2.81
Ga (0.0000, 0.5000, 0.0000)  2 Se 2.81, 2 Bi 2.81
Ga (0.5000, 0.0000, 0.0000)  2 Se 2.81, 2 Bi 2.81
Ga (0.5000, 0.5000, 0.5000)  2 Se 2.81, 2 Bi 2.81
Bi (0.1374, 0.6374, 0.7747)  2 Ga 2.81, 2 Se 2.96
Bi (0.3626, 0.1374, 0.5000)  2 Ga 2.81, 2 Se 2.96
Bi (0.6374, 0.8626, 0.5000)  2 Ga 2.81, 2 Se 2.96
Bi (0.8626, 0.3626, 0.2253)  2 Ga 2.81, 2 Se 2.96
Se (0.1378, 0.3622, 0.5000)  2 Ga 2.81, 2 Bi 2.96
Se (0.3622, 0.8622, 0.2244)  2 Ga 2.81, 2 Bi 2.96
Se (0.6378, 0.1378, 0.7756)  2 Ga 2.81, 2 Bi 2.96
Se (0.8622, 0.6378, 0.5000)  2 Ga 2.81, 2 Bi 2.96

---

| no. | formation enthalpy at 0 K (eV/atom) |
| --- | --- |
| 1 | -1.001 |
| 2 | -0.771 |
| 3 | -1.662 |
| 4 | -0.165 |
| 5 | 0.207 |
| 6 | 0.012 |